# 1
A relaxed LaTb3 crystal. Source: the Materials Project, functional GGA-PBE.

## Properties
The calculation puts the calculated formation energy at 0.1 eV/f.u. The crystal system is hexagonal.

a = 7.3277 Å, b = 7.3277 Å, c = 5.8144 Å
α = 90.00°, β = 90.00°, γ = 120.00°
Fractional positions:
La1 0.6667 0.3333 0.2500
La2 0.3333 0.6667 0.7500
Tb1 0.8350 0.1650 0.7500
Tb2 0.3301 0.1650 0.7500
Tb3 0.8350 0.6699 0.7500
Tb4 0.1650 0.8350 0.2500
Tb5 0.6699 0.8350 0.2500
Tb6 0.1650 0.3301 0.2500

# 2
A relaxed La3ScBeS7 crystal. Source: the Materials Project, functional GGA-PBE.

## Properties
The calculation puts the calculated formation energy at -26.4 eV/f.u. The crystal system is hexagonal.

a = 10.2400 Å, b = 10.2400 Å, c = 6.0584 Å
α = 90.00°, β = 90.00°, γ = 120.00°
Fractional positions:
La1 0.1395 0.3936 0.2473
La2 0.8605 0.6064 0.7473
La3 0.6064 0.7459 0.2473
La4 0.2541 0.8605 0.2473
La5 0.7459 0.1395 0.7473
La6 0.3936 0.2541 0.7473
Sc1 0.0000 0.0000 0.0185
Sc2 0.0000 0.0000 0.5185
Be1 0.3333 0.6667 0.6585
Be2 0.6667 0.3333 0.1585
S1 0.3333 0.6667 0.0094
S2 0.6667 0.3333 0.5094
S3 0.4064 0.5201 0.5297
S4 0.5936 0.4799 0.0297
S5 0.4799 0.8863 0.5297
S6 0.1137 0.5936 0.5297
S7 0.8863 0.4064 0.0297
S8 0.5201 0.1137 0.0297
S9 0.0808 0.2312 0.7715
S10 0.9192 0.7688 0.2715
S11 0.7688 0.8496 0.7715
S12 0.1504 0.9192 0.7715
S13 0.8496 0.0808 0.2715
S14 0.2312 0.1504 0.2715

# 3
A relaxed K3Li crystal. Source: the Materials Project, functional GGA-PBE.

## Properties
The calculation puts the calculated formation energy at 0.5 eV/f.u. The crystal system is cubic.

a = 6.1852 Å, b = 6.1852 Å, c = 6.1852 Å
α = 90.00°, β = 90.00°, γ = 90.00°
Fractional positions:
K1 0.0000 0.5000 0.5000
K2 0.5000 0.0000 0.5000
K3 0.5000 0.5000 0.0000
Li1 0.0000 0.0000 0.0000

# 4
A relaxed Na3NbInSi2PO12 crystal. Source: the Materials Project, functional GGA-PBE.

## Properties
The calculation puts the calculated formation energy at -54.5 eV/f.u.

a = 9.1486 Å, b = 9.1486 Å, c = 22.5186 Å
α = 89.75°, β = 90.25°, γ = 119.99°
Fractional positions:
Na1 0.9934 0.9925 0.4943
Na2 0.0075 0.0066 0.9943
Na3 0.6601 0.3258 0.8277
Na4 0.6742 0.3399 0.3277
Na5 0.3267 0.6592 0.1610
Na6 0.3408 0.6733 0.6610
Na7 0.6514 0.0148 0.2502
Na8 0.9829 0.6229 0.2473
Na9 0.9852 0.3486 0.7502
Na10 0.3771 0.0171 0.7473
Na11 0.3181 0.3481 0.5835
Na12 0.6495 0.9563 0.5806
Na13 0.6519 0.6819 0.0835
Na14 0.0437 0.3505 0.0806
Na15 0.9848 0.6815 0.9168
Na16 0.3162 0.2896 0.9140
Na17 0.3185 0.0152 0.4168
Na18 0.7104 0.6838 0.4140
Nb1 0.9963 0.9947 0.6466
Nb2 0.0053 0.0037 0.1466
Nb3 0.6630 0.3280 0.9800
Nb4 0.6720 0.3370 0.4800
Nb5 0.3297 0.6614 0.3133
Nb6 0.3386 0.6703 0.8133
In1 0.9977 0.0042 0.3504
In2 0.9958 0.0023 0.8504
In3 0.6644 0.3375 0.6837
In4 0.6625 0.3356 0.1837
In5 0.3310 0.6708 0.0170
In6 0.3292 0.6690 0.5170
Si1 0.7025 0.7046 0.2519
Si2 0.0023 0.2958 0.2493
Si3 0.2954 0.2975 0.7519
Si4 0.7042 0.9977 0.7493
Si5 0.3691 0.0379 0.5852
Si6 0.6689 0.6292 0.5826
Si7 0.9621 0.6309 0.0852
Si8 0.3708 0.3311 0.0826
Si9 0.0358 0.3712 0.9185
Si10 0.3356 0.9625 0.9159
Si11 0.6288 0.9642 0.4185
Si12 0.0375 0.6644 0.4159
P1 0.2918 0.9953 0.2523
P2 0.0047 0.7082 0.7523
P3 0.9584 0.3286 0.5857
P4 0.6714 0.0416 0.0857
P5 0.6251 0.6620 0.9190
P6 0.3380 0.3749 0.4190
O1 0.2237 0.0201 0.3106
O2 0.8130 0.7796 0.3114
O3 0.9653 0.1783 0.3056
O4 0.2204 0.1870 0.8114
O5 0.9799 0.7763 0.8106
O6 0.8217 0.0347 0.8056
O7 0.8003 0.9727 0.6895
O8 0.1641 0.1929 0.6937
O9 0.0217 0.8292 0.6989
O10 0.8071 0.8359 0.1937
O11 0.0273 0.1997 0.1895
O12 0.1708 0.9783 0.1989
O13 0.8904 0.3534 0.6439
O14 0.4797 0.1129 0.6447
O15 0.6320 0.5116 0.6389
O16 0.8871 0.5203 0.1447
O17 0.6466 0.1096 0.1439
O18 0.4884 0.3680 0.1389
O19 0.4669 0.3060 0.0229
O20 0.8307 0.5263 0.0270
O21 0.6883 0.1625 0.0322
O22 0.4737 0.1693 0.5270
O23 0.6940 0.5331 0.5229
O24 0.8375 0.3117 0.5322
O25 0.5570 0.6868 0.9772
O26 0.1464 0.4462 0.9780
O27 0.2986 0.8450 0.9723
O28 0.5538 0.8536 0.4780
O29 0.3132 0.4430 0.4772
O30 0.1550 0.7014 0.4723
O31 0.1336 0.6394 0.3562
O32 0.4974 0.8596 0.3604
O33 0.3550 0.4959 0.3655
O34 0.1404 0.5026 0.8604
O35 0.3606 0.8664 0.8562
O36 0.5041 0.6450 0.8655
O37 0.0142 0.8289 0.4109
O38 0.8139 0.9863 0.4129
O39 0.1979 0.1919 0.4108
O40 0.0137 0.1861 0.9129
O41 0.1711 0.9858 0.9109
O42 0.8081 0.8021 0.9108
O43 0.9559 0.1546 0.5862
O44 0.1878 0.0406 0.5893
O45 0.8422 0.8184 0.5881
O46 0.9594 0.8122 0.0893
O47 0.8454 0.0441 0.0862
O48 0.1816 0.1578 0.0881
O49 0.6809 0.1622 0.7442
O50 0.4806 0.3197 0.7462
O51 0.8646 0.5252 0.7441
O52 0.6803 0.5194 0.2462
O53 0.8378 0.3191 0.2442
O54 0.4748 0.1354 0.2441
O55 0.6226 0.4879 0.9195
O56 0.8545 0.3739 0.9226
O57 0.5089 0.1517 0.9215
O58 0.6261 0.1455 0.4226
O59 0.5121 0.3774 0.4195
O60 0.8483 0.4911 0.4215
O61 0.3476 0.4956 0.0776
O62 0.1472 0.6530 0.0796
O63 0.5312 0.8586 0.0774
O64 0.3470 0.8528 0.5796
O65 0.5044 0.6524 0.5776
O66 0.1414 0.4688 0.5774
O67 0.2893 0.8213 0.2528
O68 0.5211 0.7072 0.2559
O69 0.1755 0.4850 0.2548
O70 0.2928 0.4789 0.7559
O71 0.1787 0.7107 0.7528
O72 0.5150 0.8245 0.7548

# 5
A relaxed Sb4H2SO10 crystal. Source: the Materials Project, functional GGA-PBE.

## Properties
The calculation puts the calculated formation energy at -29.1 eV/f.u. The crystal system is orthorhombic.

a = 5.8978 Å, b = 11.3913 Å, c = 15.2487 Å
α = 90.00°, β = 90.00°, γ = 90.00°
Fractional positions:
Sb1 0.9716 0.6339 0.2476
Sb2 0.0284 0.3661 0.7476
Sb3 0.5284 0.6339 0.7476
Sb4 0.4716 0.3661 0.2476
Sb5 0.8929 0.9119 0.0929
Sb6 0.1071 0.0881 0.5929
Sb7 0.6071 0.9119 0.5929
Sb8 0.3929 0.0881 0.0929
Sb9 0.6539 0.5925 0.4304
Sb10 0.3461 0.4075 0.9304
Sb11 0.8461 0.5925 0.9304
Sb12 0.1539 0.4075 0.4304
Sb13 0.5524 0.8586 0.2678
Sb14 0.4476 0.1414 0.7678
Sb15 0.9476 0.8586 0.7678
Sb16 0.0524 0.1414 0.2678
H1 0.8320 0.4892 0.1326
H2 0.1680 0.5108 0.6325
H3 0.6680 0.4892 0.6325
H4 0.3320 0.5108 0.1326
H5 0.8433 0.8990 0.3856
H6 0.1567 0.1010 0.8856
H7 0.6567 0.8990 0.8856
H8 0.3433 0.1010 0.3856
S1 0.1796 0.7379 0.5079
S2 0.8204 0.2621 0.0079
S3 0.3204 0.7379 0.0079
S4 0.6796 0.2621 0.5079
O1 0.3463 0.7492 0.4338
O2 0.6537 0.2508 0.9338
O3 0.1537 0.7492 0.9338
O4 0.8463 0.2508 0.4338
O5 0.1449 0.6116 0.5291
O6 0.8551 0.3884 0.0291
O7 0.3551 0.6116 0.0291
O8 0.6449 0.3884 0.5291
O9 0.9627 0.7957 0.4842
O10 0.0373 0.2043 0.9842
O11 0.5373 0.7957 0.9842
O12 0.4627 0.2043 0.4842
O13 0.2769 0.7973 0.5887
O14 0.7231 0.2027 0.0887
O15 0.2231 0.7973 0.0887
O16 0.7769 0.2027 0.5887
O17 0.7559 0.5337 0.1795
O18 0.2441 0.4663 0.6795
O19 0.7441 0.5337 0.6795
O20 0.2559 0.4663 0.1795
O21 0.8120 0.7935 0.1846
O22 0.1880 0.2065 0.6846
O23 0.6880 0.7935 0.6846
O24 0.3120 0.2065 0.1846
O25 0.9271 0.5109 0.3650
O26 0.0729 0.4891 0.8650
O27 0.5729 0.5109 0.8650
O28 0.4271 0.4891 0.3650
O29 0.6156 0.9907 0.1648
O30 0.3844 0.0093 0.6648
O31 0.8844 0.9907 0.6648
O32 0.1156 0.0093 0.1648
O33 0.7712 0.9491 0.3414
O34 0.2288 0.0509 0.8414
O35 0.7288 0.9491 0.8414
O36 0.2712 0.0509 0.3414
O37 0.7048 0.6928 0.3226
O38 0.2952 0.3072 0.8226
O39 0.7952 0.6928 0.8226
O40 0.2048 0.3072 0.3226

# 6
A relaxed Sc3Si6N11 crystal. Source: the Materials Project, functional GGA-PBE.

## Properties
The calculation puts the calculated formation energy at -28.1 eV/f.u. The crystal system is tetragonal.

a = 9.7729 Å, b = 9.7729 Å, c = 4.8535 Å
α = 90.00°, β = 90.00°, γ = 90.00°
Fractional positions:
Sc1 0.3108 0.8108 0.9569
Sc2 0.6892 0.1892 0.9569
Sc3 0.1892 0.3108 0.9569
Sc4 0.8108 0.6892 0.9569
Sc5 0.5000 0.5000 0.9615
Sc6 0.0000 0.0000 0.9615
Si1 0.4184 0.2939 0.5325
Si2 0.5816 0.7061 0.5325
Si3 0.0816 0.7939 0.5325
Si4 0.9184 0.2061 0.5325
Si5 0.2939 0.5816 0.5325
Si6 0.7061 0.4184 0.5325
Si7 0.7939 0.9184 0.5325
Si8 0.2061 0.0816 0.5325
Si9 0.8796 0.3796 0.0487
Si10 0.1204 0.6204 0.0487
Si11 0.6204 0.8796 0.0487
Si12 0.3796 0.1204 0.0487
N1 0.3176 0.4225 0.6697
N2 0.6824 0.5775 0.6697
N3 0.1824 0.9225 0.6697
N4 0.8176 0.0775 0.6697
N5 0.4225 0.6824 0.6697
N6 0.5775 0.3176 0.6697
N7 0.9225 0.8176 0.6697
N8 0.0775 0.1824 0.6697
N9 0.4144 0.2844 0.1771
N10 0.5856 0.7156 0.1771
N11 0.0856 0.7844 0.1771
N12 0.9144 0.2156 0.1771
N13 0.2844 0.5856 0.1771
N14 0.7156 0.4144 0.1771
N15 0.7844 0.9144 0.1771
N16 0.2156 0.0856 0.1771
N17 0.8459 0.3459 0.6993
N18 0.1541 0.6541 0.6993
N19 0.6541 0.8459 0.6993
N20 0.3459 0.1541 0.6993
N21 0.5000 0.0000 0.0799
N22 0.0000 0.5000 0.0799

# 7
A relaxed Mo2Pb3N4 crystal. Source: the Materials Project, functional GGA-PBE.

## Properties
The calculation puts the calculated formation energy at 0.8 eV/f.u. The crystal system is orthorhombic.

a = 5.9842 Å, b = 10.7480 Å, c = 10.8173 Å
α = 90.00°, β = 90.00°, γ = 90.00°
Fractional positions:
Mo1 0.7500 0.5000 0.7233
Mo2 0.7500 0.0000 0.7767
Mo3 0.2500 0.5000 0.2767
Mo4 0.2500 0.0000 0.2233
Mo5 0.6196 0.2500 0.7500
Mo6 0.8804 0.7500 0.7500
Mo7 0.3804 0.7500 0.2500
Mo8 0.1196 0.2500 0.2500
Pb1 0.6780 0.1711 0.3905
Pb2 0.8220 0.8289 0.3905
Pb3 0.6780 0.3289 0.1095
Pb4 0.8220 0.6711 0.1095
Pb5 0.3220 0.8289 0.6095
Pb6 0.1780 0.1711 0.6095
Pb7 0.3220 0.6711 0.8905
Pb8 0.1780 0.3289 0.8905
Pb9 0.7500 0.5000 0.4290
Pb10 0.7500 0.0000 0.0710
Pb11 0.2500 0.5000 0.5710
Pb12 0.2500 0.0000 0.9290
N1 0.8156 0.3373 0.6409
N2 0.6844 0.6627 0.6409
N3 0.8156 0.1627 0.8591
N4 0.6844 0.8373 0.8591
N5 0.1844 0.6627 0.3591
N6 0.3156 0.3373 0.3591
N7 0.1844 0.8373 0.1409
N8 0.3156 0.1627 0.1409
N9 0.5318 0.4171 0.8246
N10 0.9682 0.5829 0.8246
N11 0.5318 0.0829 0.6754
N12 0.9682 0.9171 0.6754
N13 0.4682 0.5829 0.1754
N14 0.0318 0.4171 0.1754
N15 0.4682 0.9171 0.3246
N16 0.0318 0.0829 0.3246

# 8
A relaxed MgU2O6 crystal. Source: the Materials Project, functional GGA-PBE.

## Properties
The calculation puts the calculated formation energy at -31.8 eV/f.u. The crystal system is orthorhombic.

a = 6.4031 Å, b = 6.4031 Å, c = 6.4031 Å
α = 145.84°, β = 131.79°, γ = 60.40°
Fractional positions:
Mg1 0.0000 0.0000 0.0000
U1 0.6625 0.6625 0.0000
U2 0.3375 0.3375 0.0000
O1 0.7447 0.5000 0.2447
O2 0.4193 0.1686 0.2507
O3 0.0821 0.8314 0.2507
O4 0.2553 0.5000 0.7553
O5 0.9179 0.1686 0.7493
O6 0.5807 0.8314 0.7493

# 9
A relaxed CdCuSe2O6 crystal. Source: the Materials Project, functional GGA-PBE.

## Properties
The calculation puts the calculated formation energy at -12.6 eV/f.u. The crystal system is monoclinic.

a = 10.5472 Å, b = 7.3597 Å, c = 7.6250 Å
α = 85.60°, β = 90.00°, γ = 90.00°
Fractional positions:
Cd1 0.9502 0.5136 0.2605
Cd2 0.4502 0.9864 0.7395
Cd3 0.0498 0.4864 0.7395
Cd4 0.5498 0.0136 0.2605
Cu1 0.9178 0.9770 0.3165
Cu2 0.4178 0.5230 0.6835
Cu3 0.0822 0.0230 0.6835
Cu4 0.5822 0.4770 0.3165
Se1 0.1080 0.1966 0.0538
Se2 0.6080 0.3034 0.9462
Se3 0.8920 0.8034 0.9462
Se4 0.3920 0.6966 0.0538
Se5 0.7792 0.2535 0.5685
Se6 0.2792 0.2465 0.4315
Se7 0.2208 0.7465 0.4315
Se8 0.7208 0.7535 0.5685
O1 0.0138 0.1691 0.8671
O2 0.5138 0.3309 0.1329
O3 0.9862 0.8309 0.1329
O4 0.4862 0.6691 0.8671
O5 0.1385 0.4247 0.0134
O6 0.6385 0.0753 0.9866
O7 0.8615 0.5753 0.9866
O8 0.3615 0.9247 0.0134
O9 0.9886 0.2122 0.2126
O10 0.4886 0.2878 0.7874
O11 0.0114 0.7878 0.7874
O12 0.5114 0.7122 0.2126
O13 0.8803 0.0713 0.5430
O14 0.3803 0.4287 0.4570
O15 0.1197 0.9287 0.4570
O16 0.6197 0.5713 0.5430
O17 0.7104 0.2788 0.3600
O18 0.2104 0.2212 0.6400
O19 0.2896 0.7212 0.6400
O20 0.7896 0.7788 0.3600
O21 0.8866 0.4325 0.5476
O22 0.3866 0.0675 0.4524
O23 0.1134 0.5675 0.4524
O24 0.6134 0.9325 0.5476

# 10
A relaxed La2Al3GaPd4 crystal. Source: the Materials Project, functional GGA-PBE.

## Properties
The calculation puts the calculated formation energy at -8.6 eV/f.u. The crystal system is tetragonal.

a = 4.4258 Å, b = 4.4258 Å, c = 10.2079 Å
α = 90.00°, β = 90.00°, γ = 90.00°
Fractional positions:
La1 0.5000 0.0000 0.2522
La2 0.0000 0.5000 0.7478
Al1 0.0000 0.0000 0.5000
Al2 0.5000 0.0000 0.8787
Al3 0.0000 0.5000 0.1213
Ga1 0.5000 0.5000 0.5000
Pd1 0.5000 0.5000 0.0000
Pd2 0.0000 0.0000 0.0000
Pd3 0.5000 0.0000 0.6321
Pd4 0.0000 0.5000 0.3679

What did the third record say?
A relaxed K3Li crystal. Source: the Materials Project, functional GGA-PBE.

## Properties
The calculation puts the calculated formation energy at 0.5 eV/f.u. The crystal system is cubic.

a = 6.1852 Å, b = 6.1852 Å, c = 6.1852 Å
α = 90.00°, β = 90.00°, γ = 90.00°
Fractional positions:
K1 0.0000 0.5000 0.5000
K2 0.5000 0.0000 0.5000
K3 0.5000 0.5000 0.0000
Li1 0.0000 0.0000 0.0000

Question: calculated formation energy of number 6 (Sc3Si6N11)?
Answer: -28.1 eV/f.u.